1.
DFT (GGA+U) results for a relaxed YFe4Cu3O12 crystal.

Structure (extended XYZ):
```
20
Lattice="-3.718 3.724 3.725 3.718 -3.724 3.725 3.718 3.724 -3.725" Properties=species:S:1:pos:R:3 pbc="T T T"
Y 0.000 0.000 0.000
Fe 1.859 1.862 -1.863
Fe 1.859 -1.862 1.863
Fe -1.859 1.862 1.863
Fe 1.859 1.862 1.863
Cu 3.718 0.000 0.000
Cu 0.000 3.724 0.000
Cu 0.000 0.000 3.725
O 3.718 -1.434 2.497
O 2.290 1.224 0.000
O 5.146 1.224 0.000
O 2.491 3.724 -1.435
O 1.227 0.000 2.290
O 0.000 2.290 1.228
O 3.718 1.434 2.497
O 2.491 3.724 1.435
O 1.227 0.000 5.160
O -1.428 2.500 3.725
O 1.428 2.500 3.725
O 0.000 5.158 1.228
```

Values from the calculation:
As for the formation energy: -1.666 eV per atom. Its calculated volume is 206 Å³ per cell. The value obtained for the total energy is -128.1 eV for the cell shown. For the size of the total moment, the calculation gives 0.00 μB/f.u.


2.
DFT (GGA+U) results for a relaxed ZnFe4Cu3O12 crystal.

Structure (extended XYZ):
```
20
Lattice="5.240 3.026 2.128 -5.240 3.026 2.128 0.000 -6.051 2.128" Properties=species:S:1:pos:R:3 pbc="T T T"
Zn 0.000 0.000 0.000
Fe -5.240 0.000 3.192
Fe -2.620 1.513 1.064
Fe 2.620 1.513 1.064
Fe 0.000 0.000 3.192
Cu -2.620 -1.513 2.128
Cu -2.620 1.513 4.256
Cu 0.000 3.026 2.128
O -0.879 -3.649 2.735
O -1.636 0.073 2.028
O -3.599 -1.063 3.649
O 0.755 -1.453 2.028
O -2.720 2.586 2.735
O 0.881 1.380 2.028
O -0.881 -1.380 4.356
O 2.720 -2.586 3.649
O -0.755 1.453 4.356
O 3.599 1.063 2.735
O 1.636 -0.073 4.356
O 0.879 3.649 3.649
```

Values from the calculation:
As for the formation energy: -1.250 eV per atom. Its calculated volume is 202 Å³ per cell. The value obtained for the total energy is -114.5 eV for the cell shown. For the size of the total moment, the calculation gives 9.00 μB/f.u.


3.
DFT (GGA+U) results for a relaxed ZnFe2Cu2O8 crystal.

Structure (extended XYZ):
```
52
Lattice="6.415 0.000 0.000 0.000 8.303 0.000 -0.523 0.000 11.921" Properties=species:S:1:pos:R:3 pbc="T T T"
Zn 0.694 1.307 0.590
Zn 0.433 2.845 6.550
Zn 5.459 5.458 5.371
Zn 5.197 6.997 11.331
Fe 0.464 0.350 4.051
Fe 0.202 3.801 10.012
Fe 2.319 4.927 4.379
Fe 2.058 7.527 10.340
Fe 3.834 0.776 1.581
Fe 3.572 3.376 7.542
Fe 5.689 4.502 1.909
Fe 5.428 7.953 7.870
Cu 1.245 5.723 7.419
Cu 1.507 6.732 1.459
Cu 2.077 0.470 7.502
Cu 2.339 3.682 1.542
Cu 3.553 4.621 10.379
Cu 3.814 7.833 4.419
Cu 4.385 1.571 10.462
Cu 4.647 2.580 4.502
O -0.044 1.978 4.739
O -0.306 2.173 10.699
O 0.290 0.893 7.371
O 0.551 3.258 1.410
O 0.731 0.212 2.311
O 0.469 3.939 8.272
O 0.962 4.805 5.739
O 0.700 7.650 11.699
O 1.904 5.222 2.526
O 1.642 7.232 8.487
O 1.788 4.300 10.718
O 2.049 8.155 4.757
O 2.553 1.965 0.941
O 2.292 2.186 6.901
O 2.720 0.932 10.233
O 2.982 3.219 4.272
O 2.910 5.084 7.649
O 3.171 7.371 1.688
O 3.600 6.117 5.020
O 3.338 6.338 10.980
O 3.842 0.148 7.163
O 4.104 4.003 1.203
O 4.249 1.071 3.434
O 3.988 3.081 9.395
O 5.191 0.653 0.222
O 4.930 3.499 6.182
O 5.422 4.364 3.649
O 5.161 8.091 9.609
O 5.340 5.045 10.510
O 5.602 7.410 4.550
O 6.197 6.130 1.222
O 5.936 6.325 7.182
```

Values from the calculation:
As for the formation energy: -1.065 eV per atom. Its calculated volume is 635 Å³ per cell. The value obtained for the total energy is -279.3 eV for the cell shown. For the size of the total moment, the calculation gives 8.00 μB/f.u.


4.
DFT (GGA+U) results for a relaxed ZnFe4CuO8 crystal.

Structure (extended XYZ):
```
14
Lattice="3.019 1.743 4.898 -3.019 1.743 4.898 0.000 -3.486 4.898" Properties=species:S:1:pos:R:3 pbc="T T T"
Zn 0.000 0.000 0.000
Fe 0.000 -1.759 7.986
Fe -1.523 0.879 7.986
Fe 0.000 0.000 11.066
Fe 1.523 0.879 7.986
Cu 0.000 0.000 5.513
O 0.000 -1.619 4.212
O -1.402 0.810 4.212
O 0.000 0.000 1.999
O -1.446 -0.835 6.833
O 1.402 0.810 4.212
O 0.000 0.000 9.108
O 1.446 -0.835 6.833
O 0.000 1.670 6.833
```

Values from the calculation:
As for the formation energy: -1.538 eV per atom. Its calculated volume is 155 Å³ per cell. The value obtained for the total energy is -85.8 eV for the cell shown. For the size of the total moment, the calculation gives 19.00 μB/f.u.


5.
DFT (GGA+U) results for a relaxed VGaCu2O4 crystal.

Structure (extended XYZ):
```
16
Lattice="-3.347 -3.997 -3.141 2.743 -4.808 -2.703 -0.973 -6.029 2.813" Properties=species:S:1:pos:R:3 pbc="T T T"
O -0.884 -9.791 -4.291
Ga -0.789 -7.417 -1.516
O 0.621 -7.415 -0.072
Cu 0.000 0.000 0.000
Ga 0.885 -5.418 0.055
Cu 1.371 -2.404 -1.351
O 0.789 -7.792 -2.720
O -0.694 -5.043 1.259
V -2.160 -5.013 -0.164
O -1.053 -9.414 -1.643
O -2.199 -7.419 -2.960
O -0.525 -5.420 -1.389
O -2.367 -7.042 -0.311
Cu -0.302 -4.402 -2.922
Cu -1.674 -1.999 -1.571
V -0.487 -3.015 1.406
```

Values from the calculation:
As for the formation energy: -1.763 eV per atom. Its calculated volume is 187 Å³ per cell. The value obtained for the total energy is -99.5 eV for the cell shown. For the size of the total moment, the calculation gives 0.00 μB/f.u.


6.
DFT (GGA+U) results for a relaxed GaCuW2O8 crystal.

Structure (extended XYZ):
```
24
Lattice="4.671 -5.745 0.000 4.671 5.745 0.000 -0.082 0.000 5.037" Properties=species:S:1:pos:R:3 pbc="T T T"
Ga 4.610 3.803 3.777
Ga 4.650 -3.803 1.259
Cu 4.650 1.920 1.259
Cu 4.610 -1.920 3.777
W 2.270 0.995 3.777
W 2.311 -0.995 1.258
W 6.949 0.995 3.778
W 6.990 -0.995 1.260
O 3.553 3.651 2.118
O 1.247 0.686 0.370
O 3.453 2.231 4.466
O 1.207 -0.686 2.888
O 5.748 3.651 0.400
O 3.282 0.579 2.179
O 3.241 -0.579 4.697
O 5.766 2.231 3.089
O 3.494 -2.231 1.948
O 6.019 0.579 0.339
O 5.978 -0.579 2.858
O 3.512 -3.651 4.637
O 8.053 0.686 2.149
O 5.807 -2.231 0.571
O 8.013 -0.686 4.667
O 5.707 -3.651 2.918
```

Values from the calculation:
As for the formation energy: -1.946 eV per atom. Its calculated volume is 270 Å³ per cell. The value obtained for the total energy is -163.2 eV for the cell shown. For the size of the total moment, the calculation gives 0.00 μB/f.u.


7.
DFT (GGA+U) results for a relaxed GdCuMo2O8 crystal.

Structure (extended XYZ):
```
96
Lattice="9.933 0.000 0.000 0.000 14.813 0.000 0.000 0.000 10.382" Properties=species:S:1:pos:R:3 pbc="T T T"
Gd 2.211 1.535 0.360
Gd 2.211 5.871 5.551
Gd 2.755 8.942 0.360
Gd 2.755 13.278 5.551
Gd 7.178 1.535 4.831
Gd 7.178 5.871 10.022
Gd 7.722 8.942 4.831
Gd 7.722 13.278 10.022
Cu 1.899 2.893 7.080
Cu 1.899 4.514 1.889
Cu 3.067 10.300 7.080
Cu 3.067 11.920 1.889
Cu 6.866 2.893 8.493
Cu 6.866 4.514 3.302
Cu 8.033 10.300 8.493
Cu 8.033 11.920 3.302
Mo 0.002 0.848 7.473
Mo 0.002 6.559 2.282
Mo 9.931 8.254 8.100
Mo 9.931 13.966 2.909
Mo 1.687 9.672 4.119
Mo 1.687 12.548 9.310
Mo 3.280 2.265 4.119
Mo 3.280 5.142 9.310
Mo 4.969 0.848 8.100
Mo 4.969 6.559 2.909
Mo 4.964 8.254 7.473
Mo 4.964 13.966 2.282
Mo 6.653 9.672 1.072
Mo 6.653 12.548 6.263
Mo 8.246 2.265 1.072
Mo 8.246 5.142 6.263
O 0.077 2.459 0.909
O 0.077 4.948 6.100
O 0.937 7.770 1.367
O 0.937 14.450 6.558
O 1.010 9.248 9.207
O 1.010 12.972 4.016
O 1.078 7.425 6.945
O 1.078 14.795 1.754
O 1.104 1.949 8.496
O 1.104 5.457 3.305
O 2.102 7.967 4.406
O 2.102 14.252 9.597
O 2.235 10.098 2.441
O 2.235 12.122 7.632
O 2.415 3.368 5.308
O 2.415 4.038 0.117
O 2.551 10.775 5.308
O 2.551 11.445 0.117
O 2.731 2.691 2.441
O 2.731 4.715 7.632
O 2.864 0.561 4.406
O 2.864 6.846 9.597
O 3.862 9.356 8.496
O 3.862 12.864 3.305
O 3.889 0.018 6.945
O 3.889 7.388 1.754
O 3.957 1.841 9.207
O 3.957 5.565 4.016
O 4.029 0.363 1.367
O 4.029 7.044 6.558
O 4.890 9.866 0.909
O 4.890 12.354 6.100
O 5.043 2.459 4.282
O 5.043 4.948 9.473
O 5.904 7.770 3.824
O 5.904 14.450 9.015
O 5.976 9.248 6.366
O 5.976 12.972 1.175
O 6.044 7.425 8.628
O 6.044 14.795 3.437
O 6.071 1.949 7.077
O 6.071 5.457 1.886
O 7.069 7.967 0.785
O 7.069 14.252 5.976
O 7.202 10.098 2.750
O 7.202 12.122 7.941
O 7.382 3.368 10.265
O 7.382 4.038 5.074
O 7.518 10.775 10.265
O 7.518 11.445 5.074
O 7.697 2.691 2.750
O 7.697 4.715 7.941
O 7.831 0.561 0.785
O 7.831 6.846 5.976
O 8.829 9.356 7.077
O 8.829 12.864 1.886
O 8.855 0.018 8.628
O 8.855 7.388 3.437
O 8.923 1.841 6.366
O 8.923 5.565 1.175
O 8.996 0.363 3.824
O 8.996 7.044 9.015
O 9.856 9.866 4.282
O 9.856 12.354 9.473
```

Values from the calculation:
As for the formation energy: -2.265 eV per atom. Its calculated volume is 1528 Å³ per cell. The value obtained for the total energy is -757.8 eV for the cell shown. For the size of the total moment, the calculation gives 7.00 μB/f.u.


8.
DFT (GGA+U) results for a relaxed V2CuH18N6O10 crystal.

Structure (extended XYZ):
```
37
Lattice="7.481 0.000 0.000 1.967 7.254 0.000 1.765 3.401 6.640" Properties=species:S:1:pos:R:3 pbc="T T T"
V 1.775 1.400 1.541
V 9.439 9.255 5.099
Cu 5.607 5.328 3.320
H 4.012 8.092 6.286
H 3.141 5.531 3.835
H 4.514 9.638 5.913
H 4.421 8.469 4.696
H 3.382 3.972 3.284
H 3.758 4.374 4.866
H 5.237 5.917 5.817
H 4.696 5.755 1.024
H 4.524 4.114 1.357
H 6.689 6.541 5.282
H 6.517 4.901 5.615
H 5.976 4.738 0.823
H 7.455 6.282 1.774
H 7.831 6.684 3.356
H 6.792 2.186 1.943
H 6.699 1.018 0.727
H 8.073 5.124 2.805
H 7.202 2.564 0.354
N 3.983 8.826 5.569
N 3.755 4.713 3.895
N 5.157 4.924 1.410
N 6.056 5.731 5.230
N 7.458 5.942 2.744
N 7.230 1.829 1.071
O 2.974 7.572 2.909
O 2.074 3.189 0.969
O 2.025 0.430 0.211
O 4.434 7.668 3.026
O 3.233 2.632 1.683
O 7.981 8.023 4.957
O 6.779 2.988 3.614
O 9.188 10.226 6.429
O 9.139 7.467 5.671
O 8.239 3.083 3.731
```

Values from the calculation:
As for the formation energy: -0.643 eV per atom. Its calculated volume is 360 Å³ per cell. The value obtained for the total energy is -201.6 eV for the cell shown. For the size of the total moment, the calculation gives 1.00 μB/f.u.


9.
DFT (GGA+U) results for a relaxed VCu2HO5 crystal.

Structure (extended XYZ):
```
72
Lattice="6.185 0.000 0.000 0.000 8.595 0.000 0.000 0.000 15.210" Properties=species:S:1:pos:R:3 pbc="T T T"
V 1.316 0.553 1.242
V 1.381 6.686 12.893
V 1.712 1.910 5.288
V 1.777 8.042 8.847
V 4.408 3.745 13.968
V 4.473 6.207 2.317
V 4.804 2.388 9.922
V 4.869 4.850 6.363
Cu 0.148 5.303 9.747
Cu 0.228 7.562 5.565
Cu 1.322 5.725 1.152
Cu 1.445 3.425 11.955
Cu 1.647 5.171 4.350
Cu 1.770 2.870 8.757
Cu 2.864 1.034 13.170
Cu 2.944 3.292 2.142
Cu 3.240 7.590 5.463
Cu 3.321 5.331 9.645
Cu 4.415 7.168 14.058
Cu 4.538 0.873 3.255
Cu 4.740 7.722 10.860
Cu 4.863 1.427 6.453
Cu 5.956 3.264 2.040
Cu 6.037 1.005 13.068
H 1.486 1.172 10.997
H 1.481 3.402 0.075
H 1.611 5.193 7.680
H 1.606 7.424 3.392
H 4.574 0.895 15.135
H 4.579 3.126 4.213
H 4.698 5.469 11.818
H 4.703 7.700 7.530
O 0.116 3.383 10.297
O 0.209 5.584 5.757
O 0.249 0.903 5.090
O 0.381 7.215 9.486
O 1.313 0.678 14.757
O 1.316 6.092 14.479
O 1.383 3.761 0.988
O 1.406 7.494 1.798
O 1.408 1.477 11.957
O 1.504 5.333 11.807
O 1.589 3.262 4.202
O 1.685 7.118 4.352
O 1.686 1.101 9.403
O 1.709 4.834 8.593
O 1.776 2.503 6.874
O 1.780 7.917 7.152
O 2.711 1.380 1.881
O 2.844 7.692 12.695
O 2.883 3.011 13.362
O 2.977 5.212 2.692
O 3.208 0.914 4.913
O 3.301 7.309 9.453
O 3.341 3.395 10.120
O 3.474 5.678 5.724
O 4.405 3.619 0.453
O 4.409 6.800 0.731
O 4.475 0.537 14.222
O 4.499 5.398 13.412
O 4.500 2.820 3.253
O 4.596 7.560 3.403
O 4.681 1.035 11.008
O 4.777 5.775 10.858
O 4.778 3.197 5.807
O 4.802 8.058 6.617
O 4.868 1.795 8.335
O 4.872 4.976 8.058
O 5.803 2.917 13.329
O 5.936 5.200 2.515
O 5.976 1.286 1.848
O 6.069 7.681 12.518
```

Values from the calculation:
As for the formation energy: -1.494 eV per atom. Its calculated volume is 809 Å³ per cell. The value obtained for the total energy is -429.8 eV for the cell shown. For the size of the total moment, the calculation gives 2.00 μB/f.u. The calculation puts the distance to the lowest polymorph of the same formula at 0 meV/atom.


- Which of these has the highest calculated volume?
  GdCuMo2O8


What did the first record say?
DFT (GGA+U) results for a relaxed YFe4Cu3O12 crystal.

Structure (extended XYZ):
```
20
Lattice="-3.718 3.724 3.725 3.718 -3.724 3.725 3.718 3.724 -3.725" Properties=species:S:1:pos:R:3 pbc="T T T"
Y 0.000 0.000 0.000
Fe 1.859 1.862 -1.863
Fe 1.859 -1.862 1.863
Fe -1.859 1.862 1.863
Fe 1.859 1.862 1.863
Cu 3.718 0.000 0.000
Cu 0.000 3.724 0.000
Cu 0.000 0.000 3.725
O 3.718 -1.434 2.497
O 2.290 1.224 0.000
O 5.146 1.224 0.000
O 2.491 3.724 -1.435
O 1.227 0.000 2.290
O 0.000 2.290 1.228
O 3.718 1.434 2.497
O 2.491 3.724 1.435
O 1.227 0.000 5.160
O -1.428 2.500 3.725
O 1.428 2.500 3.725
O 0.000 5.158 1.228
```

Values from the calculation:
As for the formation energy: -1.666 eV per atom. Its calculated volume is 206 Å³ per cell. The value obtained for the total energy is -128.1 eV for the cell shown. For the size of the total moment, the calculation gives 0.00 μB/f.u.


- Look up the calculated volume of the seventh one.
  1528 Å³ per cell